Li2Mn3VO8: relaxed, GGA+U.

As for the crystal system: orthorhombic. For the calculated density, the calculation gives 3.93 g/cm3. The calculation puts the uncorrected energy at -393.69 eV per cell.

The structure in extended XYZ format:
```
56
Lattice="-3.8007 6.7544 2.6007 -6.3561 -1.4294 -5.5766 -4.1743 -4.6386 5.9467" Properties=species:S:1:pos:R:3 pbc="T T T"
Li -10.3040 -0.3884 -1.2566
Li -7.5726 1.2686 5.0338
Li -8.8218 -2.8962 0.9313
Li -9.2084 -1.9403 4.4862
Li -0.0608 -0.0066 -0.0162
Li -8.6512 2.8035 -0.7737
Li -3.6167 0.1968 0.7501
Li -9.0892 3.7081 2.7282
Mn -8.9734 0.3816 1.8861
Mn -11.4260 1.8034 1.1145
Mn -3.8454 -2.1996 3.3472
Mn -10.9367 0.9346 4.0325
Mn -6.4919 -3.7735 3.5140
Mn -5.8573 -1.6575 5.4510
Mn -6.2666 4.7838 0.9724
Mn -3.7077 3.4801 1.5927
Mn -7.5103 0.7035 -3.2085
Mn -6.3700 1.9342 1.7702
Mn -7.0367 -0.1372 -0.2796
Mn -7.5651 -2.1352 -2.3679
V -6.4177 -0.9604 2.5664
V -11.6370 -1.0405 1.9420
V -4.9769 -0.5789 -2.3722
V -5.6308 3.9526 3.8053
O -7.4286 0.7158 3.0564
O -7.9826 -1.1749 1.3750
O -8.4385 -3.2569 -1.0366
O -10.5076 0.0918 0.7010
O -6.5915 3.0558 5.3278
O -9.9999 1.9230 2.5178
O -5.5442 -2.4294 2.0071
O -4.9409 -0.6947 3.9809
O -10.0621 -0.6199 3.2049
O -12.4529 0.4415 2.5518
O -4.9689 -3.2299 4.6981
O -8.0000 -4.2778 2.2192
O -7.2227 -2.0198 4.0921
O -9.5209 1.2774 5.6287
O -6.6368 -0.0535 6.1475
O -10.8502 -2.7671 1.2553
O -7.6946 4.5793 -0.3642
O -3.4617 -0.4196 -1.1100
O -2.6933 2.0095 0.8565
O -4.8111 4.9861 2.2697
O -8.4372 2.3445 -2.7702
O -5.3402 3.1311 0.4835
O -5.8326 0.9099 -1.8382
O -6.5677 -0.9713 -3.6242
O -7.0916 3.6587 2.3799
O -4.8326 2.4509 3.2208
O -8.3533 -0.4514 -1.7578
O -5.6336 0.2504 1.1648
O -6.1209 -1.6854 -1.1212
O -8.0096 1.3427 0.4929
O -10.5813 3.0208 -0.4709
O -2.6888 -1.1552 1.9940
```

---

LiVTeO5: relaxed, GGA+U.

As for the crystal system: orthorhombic. For the calculated density, the calculation gives 3.36 g/cm3. The calculation puts the uncorrected energy at -198.51 eV per cell.

The structure in extended XYZ format:
```
32
Lattice="-2.1936 -5.0115 2.4865 5.3298 0.7873 6.2886 -7.1005 5.7374 5.2996" Properties=species:S:1:pos:R:3 pbc="T T T"
Li -6.6179 4.7050 5.8881
Li -2.7128 -0.5914 8.6937
Li 0.4077 -2.6281 4.5674
Li 0.9944 1.5409 9.0004
V -1.4274 -0.3167 11.9912
V -0.7775 0.1550 6.2542
V -3.5812 5.0688 7.6902
V -2.1426 -1.8807 2.2139
Te -3.7257 -2.1715 4.9947
Te -2.9426 2.4776 11.5229
Te 2.1768 0.6483 5.0913
Te -3.4371 2.0719 6.5406
O -6.9310 2.7906 5.7637
O -1.3785 -0.6899 1.3352
O -5.0695 4.6564 7.0901
O 0.4163 3.1693 10.0742
O -1.1208 -2.5340 3.3428
O 2.5081 2.4852 8.2287
O -5.3447 1.5947 9.7018
O -1.8093 -0.1805 10.3847
O -1.6217 -1.0477 7.0383
O -2.4496 3.7609 6.9703
O 2.7151 -2.4647 7.3023
O -2.4853 1.0020 12.7981
O -2.0376 1.2704 5.4106
O -3.7073 5.0735 9.5685
O -3.0150 1.2322 8.0920
O -3.5514 -1.2062 3.2481
O 0.5577 -0.5303 5.1330
O -0.4907 -3.4815 6.0651
O -4.8989 -0.8528 5.8682
O 0.0709 1.0845 7.3319
```

---

Li4V3Fe2Ni3O16: relaxed, GGA+U.

As for the crystal system: triclinic. For the calculated density, the calculation gives 4.17 g/cm3. The calculation puts the uncorrected energy at -173.97 eV per cell.

The structure in extended XYZ format:
```
28
Lattice="-1.6772 -1.9061 -5.2949 5.6426 -0.4100 1.5749 -1.8275 -8.5316 4.0599" Properties=species:S:1:pos:R:3 pbc="T T T"
Li 1.5623 -8.4907 2.9326
Li 2.0983 -10.6883 0.3611
Li -0.8832 -4.2717 1.9950
Li -0.0460 -4.8097 -1.2033
V 3.7530 -2.6067 1.5305
V 1.1634 -2.1775 0.2229
V -0.8736 -6.8946 1.3661
Fe 2.3181 -5.2843 1.3068
Fe -1.0093 -9.8224 0.7804
Ni 3.2400 -3.4023 -1.3106
Ni 1.0442 -7.9224 -0.5191
Ni -1.7460 -7.7173 -1.2475
O 3.4092 -5.8499 2.8020
O 0.6222 -5.0654 -3.0702
O 2.9600 -1.7694 -0.0668
O -0.5199 -2.6769 1.1246
O -1.3487 -6.8918 3.2056
O 0.4678 -5.6524 1.8973
O 4.0309 -4.0510 0.4638
O 1.4565 -3.9070 -0.2234
O 0.3715 -1.5156 -1.1344
O 2.6032 -6.7196 0.1107
O 0.2800 -8.3366 1.4486
O -2.1753 -8.1579 0.8706
O -0.4692 -6.5569 -0.4713
O 2.2143 -2.7776 -3.0722
O -0.5258 -9.1683 -0.9765
O -0.6368 -2.6064 -3.8772
```

---

Na9Mn15O32: relaxed, GGA+U.

As for the crystal system: monoclinic. For the calculated density, the calculation gives 3.89 g/cm3. The calculation puts the uncorrected energy at -367.72 eV per cell.

The structure in extended XYZ format:
```
56
Lattice="3.0620 5.3851 0.0000 -3.0620 5.3851 0.0000 0.0000 4.3097 19.9813" Properties=species:S:1:pos:R:3 pbc="T T T"
Na 0.0000 4.1721 18.1666
Na 0.0000 5.3851 0.0000
Na 0.0000 10.9077 1.8147
Na 0.0000 3.7493 3.0603
Na 0.0000 7.4976 8.1758
Na 0.0000 7.5822 11.8055
Na 0.0000 3.7725 6.8240
Na 0.0000 11.3074 13.1573
Na 0.0000 11.3305 16.9210
Mn 1.5310 2.6925 0.0000
Mn 0.0000 7.3722 2.4679
Mn 0.0000 9.1611 4.9781
Mn 0.0000 7.7076 17.5134
Mn 1.5186 6.4570 4.9562
Mn -1.5186 6.4570 4.9562
Mn -1.5310 2.6925 0.0000
Mn 0.0000 11.0510 7.4784
Mn 1.5186 8.6229 15.0251
Mn -1.5310 4.8474 9.9907
Mn 1.5310 4.8474 9.9907
Mn 0.0000 5.9187 15.0032
Mn 0.0000 4.0288 12.5029
Mn 0.0000 2.1549 9.9907
Mn -1.5186 8.6229 15.0251
O 1.3347 8.3617 18.6188
O 0.0000 6.2537 18.8736
O 0.0000 8.8261 1.1077
O 0.0000 11.6898 19.0529
O -1.3347 6.7181 1.3625
O 1.3347 6.7181 1.3625
O -1.2840 8.1265 3.8848
O -1.3347 8.3617 18.6188
O 0.0000 7.4511 5.9817
O 0.0000 5.8767 3.8038
O 0.0000 9.6259 8.8192
O 0.0000 3.3900 0.9284
O 0.0000 10.8590 3.9911
O 1.7516 8.5927 11.0177
O -1.7435 4.8040 6.0224
O 1.7435 4.8040 6.0224
O 1.2840 8.1265 3.8848
O -1.7516 6.4872 8.9636
O 1.7516 6.4872 8.9636
O 0.0000 10.8665 11.0186
O 0.0000 7.6287 13.9996
O 0.0000 5.4539 11.1621
O 0.0000 4.2133 8.9627
O 0.0000 1.6806 6.1157
O 1.2840 6.9533 16.0965
O -1.7516 8.5927 11.0177
O -1.7435 10.2758 13.9589
O 1.7435 10.2758 13.9589
O 0.0000 13.3992 13.8656
O 0.0000 4.2208 15.9902
O 0.0000 9.2031 16.1775
O -1.2840 6.9533 16.0965
```

---

Li6Mn9O20: relaxed, GGA+U.

As for the crystal system: monoclinic. For the calculated density, the calculation gives 3.95 g/cm3. The calculation puts the uncorrected energy at -471.46 eV per cell.

The structure in extended XYZ format:
```
70
Lattice="-3.0933 1.0153 4.8623 0.7042 -3.4969 4.6387 16.8940 13.6802 10.8548" Properties=species:S:1:pos:R:3 pbc="T T T"
Li 10.1747 8.1687 7.9567
Li 0.0000 0.0000 0.0000
Li 12.8561 10.3674 9.1294
Li -0.2736 -0.3986 3.3962
Li 1.6487 0.8311 11.2264
Li 12.2624 9.5354 15.8345
Li 4.3302 3.0298 12.3991
Li 14.7785 11.5971 16.9596
Li 2.2424 1.6632 4.5213
Li 5.9237 4.5059 9.6753
Li 8.5812 6.6927 10.6805
Li 8.4470 6.8401 5.4274
Mn 10.3682 8.0662 13.3107
Mn 11.9188 7.5457 10.8831
Mn 8.1747 6.1810 14.0997
Mn 13.1875 12.3652 14.0958
Mn 12.5644 9.9558 12.4795
Mn 10.0043 9.8206 10.9958
Mn 15.1209 10.0678 13.9819
Mn 14.7569 11.8424 11.6444
Mn -0.2520 -0.6439 8.7114
Mn 1.3174 -1.1666 6.2600
Mn 4.1367 3.1323 7.0450
Mn 4.5006 1.3780 9.3600
Mn 8.7991 5.0916 7.7467
Mn -0.6161 1.1307 6.3739
Mn 1.9404 1.2427 7.8763
Mn 6.3302 5.0175 6.2560
Mn 6.9003 7.3477 7.8585
Mn 2.5861 3.6528 9.4727
O 8.5061 8.1774 13.8578
O 10.1840 6.1836 13.7590
O 10.0004 7.8498 11.4319
O 10.4850 9.9533 12.8696
O 14.3847 11.6245 9.7196
O 13.4633 12.6310 15.9462
O 12.2234 7.8877 12.7673
O 11.9598 9.5357 10.6883
O 13.1598 10.3682 14.2685
O 8.7708 6.5923 15.9248
O 12.8780 11.9831 12.2029
O 14.5995 9.9376 12.1016
O -1.0153 1.0114 4.5307
O 10.7723 8.3131 15.1914
O 15.0782 12.0164 13.5897
O 0.1202 -0.4260 10.6361
O 15.5201 10.1871 15.8251
O 1.6269 -0.7846 8.1528
O 13.8439 10.7364 18.4549
O 1.3451 0.8303 6.0873
O 1.0415 -1.4325 4.4096
O 0.6610 0.4621 1.9009
O 2.5451 1.6628 9.6675
O 4.0198 1.2453 7.4861
O 5.7642 4.2108 12.9215
O -0.5733 -0.8179 6.7661
O -0.0946 1.2609 8.2542
O 3.7325 2.8854 5.1643
O 4.3208 5.0149 6.5968
O 5.9988 3.0212 6.4980
O 5.7340 4.6062 4.4310
O 7.6397 5.8224 12.2529
O 6.8651 5.3761 8.1029
O 7.1254 3.3594 10.6912
O 2.2814 3.3108 7.5885
O 5.0518 5.8232 10.8134
O 8.7406 6.9877 7.4343
O 4.5045 3.3487 8.9239
O 9.4531 5.3753 9.5424
O 7.3795 7.8391 9.6645
```

---

> The lowest calculated density belongs to which entry?

LiVTeO5

---

> Among the records above, which one has the highest calculated density?

Li4V3Fe2Ni3O16